# 1
VASP calculation (GGA-PBE) on a geometry-optimized Sc2ZnIn structure.

Results
Theoretical density in g cm⁻³: 5.36
ΔH_f (0 K) in eV/f.u.: -1.6

a = 6.942 Å, b = 6.942 Å, c = 6.942 Å
α = 90.00°, β = 90.00°, γ = 90.00°
Space group Fm-3m (No. 225)
Symmetry-distinct sites (fractional):
Sc 0.250 0.250 0.250 [8 per cell]
Zn 0.000 0.000 0.000 [4 per cell]
In 0.000 0.000 0.500 [4 per cell]

=====

# 2
VASP calculation (GGA-PBE) on a geometry-optimized P6Pb10O25 structure.

Results
Magnetization in μB/atom: 0.0000
Theoretical density in g cm⁻³: 6.81
Energy above the most stable polymorph in this dataset in meV/atom: 2
ΔH_f (0 K) in eV/f.u.: -93.8

a = 10.004 Å, b = 7.474 Å, c = 17.334 Å
α = 90.00°, β = 90.08°, γ = 90.00°
Space group P2_1 (No. 4)
Symmetry-distinct sites (fractional):
P 0.034 0.000 0.066 [2 per cell]
P 0.082 0.000 0.449 [2 per cell]
P 0.139 0.000 0.735 [2 per cell]
P 0.365 0.501 0.764 [2 per cell]
P 0.426 0.501 0.048 [2 per cell]
P 0.464 0.501 0.438 [2 per cell]
Pb 0.006 0.501 0.752 [2 per cell]
Pb 0.137 0.481 0.363 [2 per cell]
Pb 0.138 0.481 0.137 [2 per cell]
Pb 0.244 0.245 0.916 [2 per cell]
Pb 0.244 0.251 0.585 [2 per cell]
Pb 0.244 0.755 0.919 [2 per cell]
Pb 0.245 0.749 0.583 [2 per cell]
Pb 0.374 0.002 0.380 [2 per cell]
Pb 0.385 0.002 0.124 [2 per cell]
Pb 0.479 0.482 0.251 [2 per cell]
O 0.034 0.170 0.120 [2 per cell]
O 0.037 0.835 0.122 [2 per cell]
O 0.055 0.168 0.711 [2 per cell]
O 0.059 0.829 0.709 [2 per cell]
O 0.061 0.501 0.585 [2 per cell]
O 0.079 0.998 0.539 [2 per cell]
O 0.099 0.497 0.980 [2 per cell]
O 0.157 0.001 0.011 [2 per cell]
O 0.163 0.170 0.422 [2 per cell]
O 0.164 0.997 0.823 [2 per cell]
O 0.165 0.836 0.420 [2 per cell]
O 0.223 0.501 0.805 [2 per cell]
O 0.251 0.420 0.250 [2 per cell]
O 0.273 0.002 0.689 [2 per cell]
O 0.344 0.497 0.494 [2 per cell]
O 0.345 0.330 0.071 [2 per cell]
O 0.345 0.501 0.676 [2 per cell]
O 0.347 0.668 0.075 [2 per cell]
O 0.401 0.005 0.513 [2 per cell]
O 0.430 0.505 0.956 [2 per cell]
O 0.430 0.997 0.920 [2 per cell]
O 0.442 0.670 0.793 [2 per cell]
O 0.445 0.337 0.794 [2 per cell]
O 0.463 0.668 0.385 [2 per cell]
O 0.470 0.331 0.386 [2 per cell]

=====

# 3
VASP calculation (GGA-PBE) on a geometry-optimized Na3LuBr6 structure.

Results
Theoretical density in g cm⁻³: 3.90
ΔH_f (0 K) in eV/f.u.: -20.1

a = 7.392 Å, b = 7.703 Å, c = 13.096 Å
α = 90.00°, β = 124.32°, γ = 90.00°
Space group P2_1/c (No. 14)
Symmetry-distinct sites (fractional):
Na 0.000 0.000 0.000 [2 per cell]
Na 0.232 0.056 0.745 [4 per cell]
Lu 0.500 0.000 0.500 [2 per cell]
Br 0.136 0.182 0.442 [4 per cell]
Br 0.252 0.702 0.426 [4 per cell]
Br 0.386 0.057 0.262 [4 per cell]

=====

# 4
VASP calculation (GGA-PBE) on a geometry-optimized Te2Mo3WSe6 structure.

Results
Magnetization in μB/atom: 0.0000
Theoretical density in g cm⁻³: 5.25
Energy above the most stable polymorph in this dataset in meV/atom: 0
ΔH_f (0 K) in eV/f.u.: -9.1

a = 3.3797 Å, b = 3.3797 Å, c = 38.4208 Å
α = 90.00°, β = 90.00°, γ = 120.00°
Space group P3m1 (No. 156)
Symmetry-distinct sites (fractional):
Te 0.0000 0.0000 0.0000 [1 per cell]
Te 0.0000 0.0000 0.0978 [1 per cell]
Mo 0.0000 0.0000 0.4852 [1 per cell]
Mo 0.3333 0.6667 0.0489 [1 per cell]
Mo 0.3333 0.6667 0.6731 [1 per cell]
W 0.0000 0.0000 0.8610 [1 per cell]
Se 0.0000 0.0000 0.6301 [1 per cell]
Se 0.0000 0.0000 0.7162 [1 per cell]
Se 0.3333 0.6667 0.4422 [1 per cell]
Se 0.3333 0.6667 0.5283 [1 per cell]
Se 0.3333 0.6667 0.8178 [1 per cell]
Se 0.3333 0.6667 0.9042 [1 per cell]

=====

# 5
VASP calculation (GGA-PBE) on a geometry-optimized Sr6Ga5N structure.

Results
Theoretical density in g cm⁻³: 4.35
ΔH_f (0 K) in eV/f.u.: -6.3

a = 7.6058 Å, b = 7.6058 Å, c = 40.6498 Å
α = 90.00°, β = 90.00°, γ = 120.00°
Space group R-3c (No. 167, hexagonal axes)
Symmetry-distinct sites (fractional):
Sr 0.0126 0.4446 0.2027 [36 per cell]
Ga 0.0000 0.0000 0.1943 [12 per cell]
Ga 0.0000 0.2087 0.7500 [18 per cell]
N 0.0000 0.0000 0.0000 [6 per cell]

=====

# 6
VASP calculation (GGA-PBE) on a geometry-optimized Si structure.

Results
Magnetization in μB/atom: 0.0000
Theoretical density in g cm⁻³: 1.93
Energy above the most stable polymorph in this dataset in meV/atom: 144
ΔH_f (0 K) in eV/f.u.: 0.1

a = 10.0184 Å, b = 10.0184 Å, c = 16.1168 Å
α = 90.00°, β = 90.00°, γ = 120.00°
Space group P-3m1 (No. 164)
Symmetry-distinct sites (fractional):
Si 0.0006 0.2448 0.3263 [12 per cell]
Si 0.0010 0.3804 0.7953 [12 per cell]
Si 0.0876 0.4212 0.4419 [12 per cell]
Si 0.1334 0.2668 0.0005 [6 per cell]
Si 0.2085 0.4170 0.1230 [6 per cell]
Si 0.2087 0.4174 0.8784 [6 per cell]
Si 0.3333 0.6667 0.0729 [2 per cell]
Si 0.3333 0.6667 0.9286 [2 per cell]

=====

# 7
VASP calculation (GGA-PBE) on a geometry-optimized Sr3SnO structure.

Results
Theoretical density in g cm⁻³: 4.74
ΔH_f (0 K) in eV/f.u.: -8.2

a = 5.183 Å, b = 5.183 Å, c = 5.183 Å
α = 90.00°, β = 90.00°, γ = 90.00°
Space group Pm-3m (No. 221)
Symmetry-distinct sites (fractional):
Sr 0.000 0.000 0.500 [3 per cell]
Sn 0.500 0.500 0.500 [1 per cell]
O 0.000 0.000 0.000 [1 per cell]

=====

# 8
VASP calculation (GGA-PBE) on a geometry-optimized Mg14CuC structure.

Results
Magnetization in μB/atom: 0.0000
Theoretical density in g cm⁻³: 2.05
Energy above the most stable polymorph in this dataset in meV/atom: 0
ΔH_f (0 K) in eV/f.u.: 3.1

a = 9.315 Å, b = 6.700 Å, c = 10.770 Å
α = 90.00°, β = 90.00°, γ = 90.00°
Space group Amm2 (No. 38)
Symmetry-distinct sites (fractional):
Mg 0.000 0.000 0.000 [2 per cell]
Mg 0.000 0.000 0.498 [2 per cell]
Mg 0.000 0.249 0.262 [4 per cell]
Mg 0.248 0.000 0.181 [4 per cell]
Mg 0.249 0.000 0.677 [4 per cell]
Mg 0.320 0.223 0.938 [8 per cell]
Mg 0.500 0.238 0.195 [4 per cell]
Cu 0.500 0.000 0.510 [2 per cell]
C 0.500 0.000 0.045 [2 per cell]

=====

# 9
VASP calculation (GGA-PBE) on a geometry-optimized La3InGe structure.

Results
Theoretical density in g cm⁻³: 6.44
ΔH_f (0 K) in eV/f.u.: -3.0

a = 17.455 Å, b = 17.481 Å, c = 16.326 Å
α = 90.00°, β = 90.00°, γ = 90.00°
Space group Fmm2 (No. 42)
Symmetry-distinct sites (fractional):
La 0.000 0.000 0.000 [4 per cell]
La 0.000 0.000 0.214 [4 per cell]
La 0.000 0.000 0.495 [4 per cell]
La 0.000 0.000 0.712 [4 per cell]
La 0.000 0.168 0.858 [8 per cell]
La 0.116 0.184 0.217 [16 per cell]
La 0.116 0.187 0.490 [16 per cell]
La 0.167 0.000 0.354 [8 per cell]
La 0.182 0.118 0.990 [16 per cell]
La 0.184 0.118 0.720 [16 per cell]
In 0.000 0.175 0.652 [8 per cell]
In 0.175 0.000 0.151 [8 per cell]
In 0.175 0.000 0.557 [8 per cell]
In 0.250 0.250 0.354 [8 per cell]
Ge 0.000 0.120 0.354 [8 per cell]
Ge 0.000 0.176 0.054 [8 per cell]
Ge 0.120 0.000 0.855 [8 per cell]
Ge 0.250 0.250 0.104 [8 per cell]

=====

# 10
VASP calculation (GGA-PBE) on a geometry-optimized RuO2 structure.

Results
Magnetization in μB/atom: 0.0002
Theoretical density in g cm⁻³: 7.71
ΔH_f (0 K) in eV/f.u.: -3.8

a = 4.857 Å, b = 4.857 Å, c = 4.857 Å
α = 90.00°, β = 90.00°, γ = 90.00°
Space group Fm-3m (No. 225)
Symmetry-distinct sites (fractional):
Ru 0.000 0.000 0.000 [4 per cell]
O 0.250 0.250 0.250 [8 per cell]

=====

# 11
VASP calculation (GGA-PBE) on a geometry-optimized Na3AlF6 structure.

Results
Magnetization in μB/atom: 0.0000
Theoretical density in g cm⁻³: 2.68
Energy above the most stable polymorph in this dataset in meV/atom: 60
ΔH_f (0 K) in eV/f.u.: -33.3

a = 5.544 Å, b = 5.822 Å, c = 8.056 Å
α = 90.00°, β = 90.00°, γ = 90.00°
Space group Immm (No. 71)
Symmetry-distinct sites (fractional):
Na 0.000 0.000 0.000 [2 per cell]
Na 0.000 0.500 0.219 [4 per cell]
Al 0.000 0.000 0.500 [2 per cell]
F 0.000 0.000 0.274 [4 per cell]
F 0.236 0.218 0.500 [8 per cell]